Density functional theory data (GGA-PBE) for a geometry-optimized In3Sn3Au4 structure.

Summary:
- Space group: No. 8

Cell: 4.785 4.785 12.721 Å, 89.62 90.38 119.77°
Sites, in units of the cell vectors:
Sn: 0.999 0.001 0.253
Sn: 0.000 0.000 0.748
Sn: 0.667 0.333 0.087
Au: 0.333 0.667 0.361
Au: 0.667 0.333 0.640
Au: 0.333 0.667 0.135
Au: 0.667 0.333 0.864
In: 0.333 0.667 0.909
In: 0.668 0.332 0.416
In: 0.332 0.668 0.587

***

Density functional theory data (GGA-PBE) for a geometry-optimized In3SnAu4 structure.

Summary:
- Space group: No. 25

Cell: 3.769 4.392 10.712 Å, 90.00 90.00 90.00°
Sites, in units of the cell vectors:
Sn: 0.500 0.500 0.357
In: 0.000 0.500 0.858
In: 0.500 0.000 0.644
In: 0.000 0.000 0.141
Au: 0.000 0.000 0.406
Au: 0.000 0.500 0.595
Au: 0.500 0.500 0.092
Au: 0.500 0.000 0.908

***

Density functional theory data (GGA-PBE) for a geometry-optimized SrIn3Au3 structure.

Summary:
- Space group: No. 59

Cell: 4.642 7.949 9.255 Å, 90.00 90.00 90.00°
Sites, in units of the cell vectors:
In: 0.500 0.500 0.634
In: 0.500 0.804 0.115
In: 0.500 0.196 0.115
In: 0.000 0.304 0.885
In: 0.000 0.696 0.885
In: 0.000 0.000 0.366
Sr: 0.000 0.500 0.271
Sr: 0.500 0.000 0.729
Au: 0.000 0.000 0.044
Au: 0.000 0.727 0.588
Au: 0.000 0.273 0.588
Au: 0.500 0.773 0.412
Au: 0.500 0.227 0.412
Au: 0.500 0.500 0.956

***

Density functional theory data (GGA-PBE) for a geometry-optimized SrIn5Au3 structure.

Summary:
- Space group: No. 62

Cell: 4.526 12.823 15.359 Å, 90.00 90.00 90.00°
Sites, in units of the cell vectors:
In: 0.750 0.588 0.994
In: 0.250 0.301 0.805
In: 0.750 0.105 0.189
In: 0.750 0.912 0.494
In: 0.750 0.985 0.931
In: 0.250 0.726 0.526
In: 0.750 0.274 0.474
In: 0.750 0.801 0.695
In: 0.750 0.515 0.431
In: 0.250 0.412 0.006
In: 0.250 0.015 0.069
In: 0.250 0.199 0.305
In: 0.750 0.226 0.974
In: 0.750 0.699 0.195
In: 0.250 0.774 0.026
In: 0.250 0.088 0.506
In: 0.250 0.605 0.311
In: 0.750 0.395 0.689
In: 0.250 0.485 0.569
In: 0.250 0.895 0.811
Au: 0.250 0.268 0.611
Au: 0.750 0.768 0.889
Au: 0.750 0.608 0.618
Au: 0.250 0.579 0.125
Au: 0.250 0.392 0.382
Au: 0.250 0.232 0.111
Au: 0.750 0.079 0.375
Au: 0.250 0.921 0.625
Au: 0.750 0.421 0.875
Au: 0.750 0.892 0.118
Au: 0.750 0.732 0.389
Au: 0.250 0.108 0.882
Sr: 0.250 0.896 0.296
Sr: 0.750 0.104 0.704
Sr: 0.750 0.396 0.204
Sr: 0.250 0.604 0.796

***

Density functional theory data (GGA-PBE) for a geometry-optimized Sr2In4Au3 structure.

Summary:
- Space group: No. 189

Cell: 15.369 15.369 4.611 Å, 90.00 90.00 120.00°
Sites, in units of the cell vectors:
In: 0.381 0.184 0.000
In: 0.877 0.527 0.500
In: 0.280 0.000 0.500
In: 0.803 0.619 0.000
In: 0.123 0.649 0.500
In: 0.000 0.280 0.500
In: 0.473 0.351 0.500
In: 0.619 0.803 0.000
In: 0.000 0.000 0.000
In: 0.197 0.816 0.000
In: 0.816 0.197 0.000
In: 0.649 0.123 0.500
In: 0.527 0.877 0.500
In: 0.184 0.381 0.000
In: 0.351 0.473 0.500
In: 0.720 0.720 0.500
Sr: 0.181 0.181 0.500
Sr: 0.000 0.451 0.000
Sr: 0.819 0.000 0.500
Sr: 0.451 0.000 0.000
Sr: 0.549 0.549 0.000
Sr: 0.667 0.333 0.000
Sr: 0.000 0.819 0.500
Sr: 0.333 0.667 0.000
Au: 0.681 0.509 0.500
Au: 0.658 0.000 0.000
Au: 0.491 0.173 0.500
Au: 0.000 0.177 0.000
Au: 0.173 0.491 0.500
Au: 0.342 0.342 0.000
Au: 0.823 0.823 0.000
Au: 0.509 0.681 0.500
Au: 0.319 0.827 0.500
Au: 0.177 0.000 0.000
Au: 0.827 0.319 0.500
Au: 0.000 0.658 0.000

***

Density functional theory data (GGA-PBE) for a geometry-optimized Sr4In17Au15 structure.

Summary:
- Space group: No. 6

Cell: 4.401 12.851 15.359 Å, 87.99 90.00 90.00°
Sites, in units of the cell vectors:
Sr: 0.500 0.107 0.293
Sr: 0.000 0.897 0.708
Sr: 0.500 0.391 0.795
Sr: 0.000 0.607 0.206
Au: 0.000 0.583 0.874
Au: 0.500 0.891 0.886
Au: 0.500 0.728 0.610
Au: 0.000 0.117 0.121
Au: 0.000 0.921 0.378
Au: 0.500 0.395 0.308
Au: 0.500 0.107 0.809
Au: 0.500 0.764 0.103
Au: 0.000 0.261 0.396
Au: 0.000 0.387 0.625
Au: 0.500 0.078 0.622
Au: 0.500 0.418 0.121
Au: 0.000 0.898 0.191
Au: 0.000 0.237 0.899
Au: 0.500 0.615 0.376
In: 0.500 0.811 0.290
In: 0.500 0.702 0.804
In: 0.000 0.022 0.922
In: 0.000 0.188 0.709
In: 0.500 0.279 0.525
In: 0.000 0.083 0.500
In: 0.500 0.909 0.503
In: 0.500 0.223 0.028
In: 0.000 0.477 0.416
In: 0.500 0.588 0.003
In: 0.500 0.980 0.078
In: 0.500 0.515 0.563
In: 0.000 0.777 0.975
In: 0.000 0.413 0.996
In: 0.000 0.604 0.688
In: 0.000 0.720 0.471
In: 0.000 0.307 0.209

***

Density functional theory data (GGA-PBE) for a geometry-optimized Sr10In17Au27 structure.

Summary:
- Space group: No. 6

Cell: 4.752 9.152 30.064 Å, 89.61 90.00 90.00°
Sites, in units of the cell vectors:
Sr: 0.500 0.315 0.484
Sr: 0.000 0.809 0.371
Sr: 0.500 0.315 0.016
Sr: 0.000 0.662 0.750
Sr: 0.500 0.331 0.252
Sr: 0.500 0.201 0.876
Sr: 0.500 0.201 0.624
Sr: 0.000 0.800 0.125
Sr: 0.000 0.684 0.985
Sr: 0.000 0.684 0.515
Au: 0.000 0.473 0.425
Au: 0.500 0.531 0.925
Au: 0.000 0.886 0.615
Au: 0.000 0.096 0.060
Au: 0.500 0.947 0.750
Au: 0.500 0.981 0.301
Au: 0.000 0.055 0.248
Au: 0.500 0.904 0.560
Au: 0.000 0.354 0.939
Au: 0.000 0.095 0.440
Au: 0.500 0.646 0.061
Au: 0.500 0.513 0.815
Au: 0.000 0.886 0.885
Au: 0.500 0.647 0.439
Au: 0.000 0.488 0.185
Au: 0.500 0.667 0.195
Au: 0.000 0.484 0.315
Au: 0.500 0.513 0.685
Au: 0.500 0.117 0.386
Au: 0.000 0.468 0.075
Au: 0.500 0.112 0.116
Au: 0.500 0.530 0.575
Au: 0.500 0.904 0.940
Au: 0.000 0.332 0.805
Au: 0.000 0.354 0.561
Au: 0.000 0.332 0.696
Au: 0.500 0.667 0.303
In: 0.500 0.809 0.839
In: 0.500 0.430 0.132
In: 0.000 0.571 0.631
In: 0.000 0.190 0.162
In: 0.500 0.272 0.750
In: 0.500 0.967 0.203
In: 0.000 0.064 0.965
In: 0.000 0.030 0.801
In: 0.000 0.571 0.869
In: 0.500 0.809 0.661
In: 0.500 0.432 0.369
In: 0.000 0.179 0.336
In: 0.500 0.935 0.465
In: 0.000 0.029 0.699
In: 0.000 0.064 0.535
In: 0.500 0.936 0.035
In: 0.000 0.730 0.251

***

Density functional theory data (GGA-PBE) for a geometry-optimized ThInAu2 structure.

Summary:
- Space group: No. 225

Cell: 5.079 5.079 5.079 Å, 60.00 60.00 60.00°
Sites, in units of the cell vectors:
Au: 0.250 0.250 0.250
Au: 0.750 0.750 0.750
In: 0.000 0.000 0.000
Th: 0.500 0.500 0.500

***

no.,E_form (eV/f.u.)
1,-1.67
2,-1.65
3,-3.30
4,-3.24
5,-4.86
6,-13.77
7,-28.62
8,-2.58